[1]
Density functional theory data (PBE+U) for a relaxed structure of Rb7Fe7P8H4O36.

Properties
**Space-group type**: P2_1/c
**Final energy**: -6.52 eV per atom
**Total energy after the MP2020 corrections**: -889.0 eV per cell
**Energy of formation from the pure elements**: -53.31 kcal/mol of atoms
**Magnetic moment**: 70.10 μB/cell

Structure (POSCAR):
```
Rb7Fe7P8H4O36
1.0
8.3319 0.0000 0.0000
0.0000 22.5422 0.0000
-3.2751 0.0000 9.5886
Fe O P Rb H
14 72 16 14 8
Cartesian
3.7718 1.7556 3.6869
1.2789 18.7901 8.8350
2.9225 13.0267 1.1074
0.0000 0.0000 0.0000
2.1404 7.5190 5.5480
1.2849 20.7866 5.9017
3.9305 19.7382 7.5135
1.1263 2.8040 2.0751
5.5680 14.0751 2.7192
-1.6376 11.2711 4.7943
3.7779 3.7522 0.7536
2.9164 15.0233 4.0407
-0.5112 8.4671 6.8694
2.1343 9.5155 8.4813
1.7288 7.1761 0.8139
5.2746 10.5569 6.0510
-0.2198 2.7021 8.6377
6.9122 0.7142 1.2567
0.8990 21.3927 4.0388
-0.6567 9.9583 8.2091
3.6544 13.6713 2.8009
0.8736 1.8487 0.1218
1.4881 18.9158 5.1406
3.5919 18.1144 6.3424
2.9161 16.3225 2.4857
3.8390 8.5358 5.5502
-0.1727 6.8433 8.0405
0.9809 1.3128 3.4148
4.1832 20.6935 9.4669
3.9900 9.5540 7.9244
3.0399 2.4002 1.9934
2.1407 6.2197 7.1030
5.6275 1.7171 3.1301
-0.7386 12.4207 8.8331
-0.4198 19.8069 8.8327
4.0759 21.2294 6.1738
1.9823 0.1010 6.3643
5.2295 15.6990 1.5481
3.6199 11.1701 1.5699
3.1256 14.8975 0.3463
0.0913 4.0950 5.6082
4.9655 18.4472 3.9804
5.5398 10.7475 3.1813
5.4766 2.7353 0.7559
7.5116 3.0822 2.1554
3.6390 13.9732 5.7452
1.4369 11.3721 8.0187
-0.8173 14.3534 2.6389
-0.8833 7.8540 2.8713
1.0668 12.9882 1.6642
1.9312 7.6447 9.2423
-2.5209 3.4171 7.6656
5.9401 14.6882 6.7173
-1.8554 21.8280 8.3319
3.5687 3.6264 4.4480
1.3700 5.1881 9.2335
-0.2178 11.9853 3.5376
3.0745 22.4412 3.2244
5.7954 10.1215 0.7555
1.2785 17.4908 7.2800
5.2766 19.8402 0.9509
7.5776 19.1251 1.9230
-0.5708 20.8251 6.4586
3.4326 18.4044 9.1488
1.4649 4.4279 3.2462
-0.0134 7.1333 5.2342
-0.4831 11.7947 6.4073
4.1578 1.1496 5.5498
1.1545 22.0186 1.6130
3.9023 0.5236 7.9756
1.4178 8.5690 3.8434
2.0492 16.4592 5.1494
-2.4548 19.4600 7.4332
3.3280 15.3661 8.7747
5.7135 12.5839 1.3795
1.2178 14.0064 4.0384
5.8208 13.1198 4.6725
5.8740 8.1889 6.9497
3.6868 17.3541 0.3551
-0.7640 9.4224 4.9161
3.7783 5.0514 2.3087
2.0169 20.1420 7.5952
3.0076 6.0830 4.4392
1.4024 8.8709 6.7877
5.0702 15.4089 4.3545
1.6242 4.1378 0.4398
0.2980 13.3325 2.9836
4.7588 9.2098 6.6050
2.1086 17.7557 5.9834
5.1774 11.1571 1.7362
6.3963 2.0614 1.8107
6.7835 19.5181 0.7037
-1.3395 20.4809 7.7779
-0.1206 11.3851 7.8525
2.9481 4.7865 3.6052
1.5170 22.4282 3.0581
1.3106 6.4846 8.3996
-0.0892 8.2470 4.0906
-1.7268 3.0242 8.8849
3.7462 16.0576 1.1891
5.1460 14.2953 5.4980
3.5398 0.1140 6.5305
4.3902 12.7266 8.5508
-2.3395 16.7508 8.6175
6.0277 21.0867 3.7565
-0.7019 17.0625 3.8232
0.6692 14.5341 7.0287
2.5284 11.2711 4.7943
4.3876 8.0081 2.5599
5.7587 5.4797 5.7654
7.3963 5.7914 0.9711
2.3068 19.2792 2.2344
2.7500 3.2630 7.3542
-0.9709 1.4555 5.8322
0.6666 9.8156 1.0379
4.1660 0.0000 0.0000
4.5514 18.3259 4.8751
6.1889 15.4875 0.0808
0.3050 4.9350 6.0587
0.5054 4.2163 4.7136
3.1142 16.2061 8.3242
4.7518 17.6072 3.5299
1.9426 6.3361 1.2644
-1.1321 7.0548 9.5079
```

=====

[2]
Density functional theory data (PBE+U) for a relaxed structure of VFeP2H2O10.

Properties
**Final energy**: -6.77 eV per atom
**Total energy after the MP2020 corrections**: -238.3 eV per cell
**Energy of formation from the pure elements**: -49.76 kcal/mol of atoms
**Magnetic moment**: 0.00 μB/cell

Structure (POSCAR):
```
VFeP2H2O10
1.0
5.1666 0.0178 -0.0727
-1.9320 7.2316 -0.0150
1.7478 3.1549 9.5791
O H V P Fe
20 4 2 4 2
Cartesian
1.7066 6.1625 0.5396
0.2197 8.2739 3.5273
0.1876 9.1848 6.0748
3.3193 3.3772 4.0783
4.6436 6.2446 8.2881
6.0556 3.3345 7.7301
3.2776 4.2422 8.9513
1.6318 5.3642 2.9690
4.0192 6.2896 4.1180
3.3504 5.0400 6.5225
4.7621 2.1301 5.9634
2.1189 6.4039 8.2342
4.7939 1.2199 3.4148
1.6620 7.0273 5.4125
0.6447 8.5608 8.8971
0.9615 4.1146 5.3734
-1.0720 7.0688 1.7619
2.8630 4.0000 1.2573
0.3393 4.1600 1.2031
4.3383 1.8423 0.5947
1.7562 6.9884 6.3962
0.5510 8.6006 7.9136
3.2263 3.4177 3.0943
4.4315 1.8024 1.5783
3.4564 1.5876 4.7530
4.2002 3.6330 -0.0787
3.3385 5.4160 7.9916
6.0665 2.9598 6.2608
-1.0854 7.4447 3.2310
1.6438 4.9897 1.4996
2.4901 5.2025 4.7467
-1.9290 7.2318 -0.0140
```

=====

[3]
Density functional theory data (PBE+U) for a relaxed structure of Zn2FeP2H8O12.

Properties
**Space-group type**: P2_1/c
**Final energy**: -5.74 eV per atom
**Total energy after the MP2020 corrections**: -308.0 eV per cell
**Energy of formation from the pure elements**: -42.12 kcal/mol of atoms
**Magnetic moment**: 8.00 μB/cell

Structure (POSCAR):
```
Zn2FeP2H8O12
1.0
5.1261 0.0000 0.0000
0.0000 10.4444 0.0000
0.0000 5.4514 9.2535
H O P Zn Fe
16 24 4 4 2
Cartesian
1.9901 1.9492 0.0824
1.4541 14.3157 7.3716
1.1089 11.5900 2.7448
4.5531 11.2208 4.5444
0.5729 4.6749 4.7091
4.8704 13.4395 6.1296
3.6719 1.5800 1.8819
3.1360 13.9465 9.1711
4.5489 13.2084 8.9394
4.0171 4.3057 6.5086
3.1401 10.4827 4.3127
1.9859 5.4131 4.9408
2.3073 5.1820 7.7506
2.8187 10.7138 1.5029
0.5771 2.6874 0.3141
0.2557 2.4563 3.1238
0.7677 10.2635 6.9985
1.5439 15.0478 8.0322
3.5899 11.2928 4.6837
4.7596 8.6597 3.1786
3.3307 8.3579 6.8817
3.2218 6.5573 5.1395
2.1966 4.5104 1.4481
1.2603 9.9960 1.7695
4.0992 8.5671 0.0570
1.3028 12.7217 6.3963
3.5822 0.8479 1.2212
1.0192 12.3222 3.4055
4.4673 3.8316 0.5127
4.3584 5.6322 2.2549
3.8658 5.8997 7.4839
2.9294 11.3853 7.8053
1.7954 7.5378 2.3718
0.3664 7.2361 6.0749
1.9042 9.3385 4.1140
1.0269 7.3286 9.1964
4.1069 3.5736 5.8480
0.6588 12.0642 8.7407
1.5361 4.6029 4.5697
3.8233 3.1740 2.8572
1.1073 8.8939 2.8483
4.0188 7.0019 6.4051
1.4558 11.6196 7.4750
3.6703 4.2762 1.7784
4.1285 9.8890 7.9219
0.9976 6.0067 1.3316
3.5606 7.1633 3.2951
1.5655 8.7324 5.9583
0.0000 0.0000 0.0000
2.5630 2.7257 4.6267
```

=====

[4]
Density functional theory data (PBE+U) for a relaxed structure of Fe6H12PbS4O28.

Properties
**Space-group type**: R-3m
**Final energy**: -5.89 eV per atom
**Total energy after the MP2020 corrections**: -333.3 eV per cell
**Energy of formation from the pure elements**: -37.54 kcal/mol of atoms
**Magnetic moment**: 30.00 μB/cell

Structure (POSCAR):
```
Fe6H12PbS4O28
1.0
11.7683 -3.6902 0.0000
11.7683 3.6902 0.0000
10.6112 0.0000 6.2861
H O Fe S Pb
12 28 6 4 1
Cartesian
18.5579 0.0000 6.0049
9.3512 0.0000 3.6296
19.2493 2.2048 2.2491
24.2869 -1.6253 5.4250
9.8609 -1.6253 0.8611
15.5899 0.0000 0.2812
9.8609 1.6253 0.8611
19.2493 -2.2048 2.2491
24.2869 1.6253 5.4250
14.8985 2.2048 4.0369
24.7966 0.0000 2.6564
14.8985 -2.2048 4.0369
18.9854 0.0000 5.1135
25.6149 0.0000 2.1082
6.7533 0.0000 1.2432
21.6650 1.2225 4.7059
16.4391 2.4698 1.5763
18.4832 0.0000 0.5027
12.4828 1.2225 1.5802
14.7301 -1.3786 3.5209
12.0994 0.0000 3.6627
14.7301 1.3786 3.5209
19.4177 1.3786 2.7652
16.4391 -2.4698 1.5763
15.6646 0.0000 5.7834
24.9186 -2.2205 5.8907
12.4828 -1.2225 1.5802
23.7290 0.0000 4.3681
10.4188 0.0000 1.9179
9.2292 2.2205 0.3954
17.7087 2.4698 4.7098
19.4177 -1.3786 2.7652
22.0484 0.0000 2.6234
9.2292 -2.2205 0.3954
24.9186 2.2205 5.8907
17.7087 -2.4698 4.7098
21.6650 -1.2225 4.7059
15.1624 0.0000 1.1725
8.5329 0.0000 4.1779
27.3945 0.0000 5.0429
20.3284 0.0000 1.5507
19.7431 1.8665 4.7301
14.4047 -1.8665 1.5559
14.4047 1.8665 1.5559
19.7431 -1.8665 4.7301
13.8194 0.0000 4.7354
22.2824 0.0000 4.1018
11.8654 0.0000 2.1842
5.3026 0.0000 0.9761
28.8452 0.0000 5.3099
17.0739 0.0000 3.1430
```

=====

[5]
Density functional theory data (PBE+U) for a relaxed structure of Rb2FeH12S2O14.

Properties
**Space-group type**: P2_1/c
**Final energy**: -5.39 eV per atom
**Total energy after the MP2020 corrections**: -358.0 eV per cell
**Energy of formation from the pure elements**: -37.41 kcal/mol of atoms
**Magnetic moment**: 8.00 μB/cell

Structure (POSCAR):
```
Rb2FeH12S2O14
1.0
-5.9151 2.0653 10.9785
-2.8403 -5.6214 -0.4728
5.7094 -6.0170 4.2081
H S Rb Fe O
24 4 4 2 28
Cartesian
-1.0836 -3.2450 12.7123
3.7362 -7.4231 5.4809
-2.2577 -7.1810 13.8122
-6.7822 -2.1500 9.2330
-0.2678 -7.2891 7.1320
-2.4994 -0.7389 7.9377
-1.2802 -4.9239 1.6085
-6.4331 -5.0150 10.5820
3.3871 -4.5581 4.1318
0.1640 -1.5429 4.9263
-0.7883 -2.3921 0.9016
-0.1788 -4.6166 7.1729
-0.3924 -3.9698 5.7410
3.7577 -4.8094 5.6588
-1.7990 -8.6447 9.3835
-1.7659 -4.6492 13.1053
-0.5466 -8.8342 6.7761
-6.8037 -4.7637 9.0551
-2.6537 -5.6033 8.9728
-2.8672 -4.9564 7.5410
-2.7782 -2.2840 7.5818
-1.9624 -6.3281 2.0015
-3.2100 -8.0302 9.7876
-1.2470 -0.9283 5.3304
0.7095 -3.6506 3.1090
2.2649 -6.2054 7.6248
-5.3109 -3.3677 7.0891
-3.7556 -5.9225 11.6048
-3.8918 -2.4241 10.7329
0.1482 -5.8464 10.6371
0.8458 -7.1490 3.9810
-3.1942 -3.7266 4.0767
-0.1028 -1.9758 7.5933
0.0000 0.0000 0.0000
-0.1588 -8.9129 9.9997
-2.8467 -5.2658 10.6127
-2.8872 -0.6601 4.7142
4.4376 -7.6011 4.7930
-7.4836 -1.9720 9.9208
-2.1234 -5.4485 1.5758
0.9398 -2.2215 3.5088
-3.8364 -3.5999 6.9262
-2.1975 -1.6677 8.1017
2.9378 -4.9309 7.2030
2.4601 -7.2476 6.5677
-0.8485 -7.9054 6.6121
0.1105 -2.9007 9.5362
0.7904 -5.9732 7.7876
2.0054 -4.3802 3.0359
-5.0514 -5.1929 11.6779
0.0487 -3.7025 1.7617
-4.3574 0.6711 10.4262
1.3113 -10.2442 4.2876
-0.5845 -3.8358 6.7116
-3.1565 -6.6724 5.1776
-3.0948 -5.8706 12.9521
-0.1993 -4.3073 4.1011
-5.5061 -2.3255 8.1461
-2.4615 -5.7373 8.0022
-5.9838 -4.6422 7.5108
-0.9226 -4.1245 13.1380
-3.9859 -7.3515 11.2051
```

=====

[6]
Density functional theory data (PBE+U) for a relaxed structure of Fe3H9S2O15.

Properties
**Energy above the most stable polymorph in this dataset**: 17 kJ/mol of formula units
**Space-group type**: R3m
**Final energy**: -5.72 eV per atom
**Total energy after the MP2020 corrections**: -183.0 eV per cell
**Energy of formation from the pure elements**: -35.45 kcal/mol of atoms
**Magnetic moment**: 15.00 μB/cell

Structure (POSCAR):
```
Fe3H9S2O15
1.0
6.1745 -3.7267 0.0000
6.1745 3.7267 0.0000
3.9253 0.0000 6.0502
H O S Fe
9 15 2 3
Cartesian
7.4672 -1.5582 1.8163
9.6240 0.0000 1.7262
7.4672 1.5582 1.8163
9.6402 -2.9491 5.4003
6.5268 0.0000 4.3460
9.6402 2.9491 5.4003
8.7168 1.5030 4.1664
11.4201 0.0000 0.6126
8.7168 -1.5030 4.1664
9.6975 0.0000 0.7440
4.7682 -1.2199 1.0213
8.1440 -2.2505 1.6414
12.2545 0.0000 3.0499
8.1440 2.2505 1.6414
11.5167 -1.2223 5.0344
4.0320 0.0000 3.0017
4.7682 1.2199 1.0213
16.1119 0.0000 5.9898
8.2958 -2.3226 4.5146
11.5167 1.2223 5.0344
6.3723 0.0000 2.3690
9.9109 0.0000 3.6845
8.2958 2.3226 4.5146
6.7857 0.0000 5.2951
4.9924 0.0000 1.8560
11.2896 0.0000 4.1971
3.0716 -1.8357 0.0112
3.0716 1.8357 0.0112
1.9636 0.0000 2.9915
```

=====

[7]
Density functional theory data (PBE+U) for a relaxed structure of Fe3H9S2O15.

Properties
**Energy above the most stable polymorph in this dataset**: 0 kJ/mol of formula units
**Space-group type**: P1
**Final energy**: -5.73 eV per atom
**Total energy after the MP2020 corrections**: -183.2 eV per cell
**Energy of formation from the pure elements**: -35.59 kcal/mol of atoms
**Magnetic moment**: 15.00 μB/cell

Structure (POSCAR):
```
Fe3H9S2O15
1.0
7.1487 0.0000 0.0000
3.2312 6.3950 0.0000
3.3337 1.9648 6.0380
O H Fe S
15 9 3 2
Cartesian
7.9216 2.0696 1.5057
3.4073 2.0867 3.0266
8.3121 5.0593 3.6962
4.6497 1.4335 1.0202
5.7149 6.1535 4.4482
10.2891 6.2948 3.0390
8.2050 5.0200 0.7118
3.3501 3.4968 1.0385
9.0246 6.9523 5.0374
5.6690 6.1545 1.6209
5.3851 3.3194 2.3508
7.0218 0.2331 0.0382
5.6301 3.3860 5.2984
10.3310 4.8976 5.0339
8.0087 2.2084 4.3677
9.6308 5.8878 0.3415
8.1964 5.0273 1.7009
7.3480 0.9640 0.7383
7.1393 2.5385 1.8904
5.5975 3.3592 4.3118
5.4921 5.2080 1.8330
6.5951 5.8117 4.1659
3.9343 1.9330 5.4725
8.2566 3.1505 4.2231
4.9654 5.1524 6.0013
4.9193 7.3536 3.0524
6.9121 1.9807 6.0321
9.4823 5.7959 4.1979
4.2076 2.5879 1.8581
```